The following is a DFT calculation (r2SCAN) of HfCuGe2 after structural relaxation.

The structure belongs to space group P4/nmm (No. 129, origin choice 2); the cell edges are 3.7648, 3.7648 and 9.0749 Å and the angles 90.00°, 90.00° and 90.00°. The distinct sites, in fractional coordinates, are Hf at (0.2500, 0.2500, 0.2368), Cu at (0.2500, 0.7500, 0.5000), Ge at (0.2500, 0.2500, 0.6740) and Ge at (0.2500, 0.7500, 0.0000).

The total magnetization comes out at 0.0 μB per formula unit. The calculation puts the energy of formation at -422 meV per atom. Its total DFT energy (no corrections) is -21.358 eV per atom.



The following is a DFT calculation (r2SCAN) of MgO2 after structural relaxation.

The structure belongs to space group Pa-3 (No. 205); the cell edges are 4.8286, 4.8286 and 4.8286 Å and the angles 90.00°, 90.00° and 90.00°. The distinct sites, in fractional coordinates, are Mg at (0.0000, 0.0000, 0.0000) and O at (0.0894, 0.5894, 0.9106).

The total magnetization comes out at 0.0 μB per formula unit. The calculation puts the energy of formation at -1897 meV per atom. Its total DFT energy (no corrections) is -7.269 eV per atom.